# 1
DFT (PBE with a Hubbard U) results for MnPO7 after structural relaxation.

Structure (CIF):
```
data_MnPO7
_chemical_formula_sum 'Mn8 P8 O56'
_cell_length_a 9.509
_cell_length_b 11.383
_cell_length_c 10.053
_cell_angle_alpha 90.00
_cell_angle_beta 90.00
_cell_angle_gamma 90.00
_symmetry_space_group_name_H-M 'P b c a'
_symmetry_Int_Tables_number 61
loop_
_symmetry_equiv_pos_as_xyz
'x,y,z'
'-x,-y,-z'
'-x+1/2,-y,z+1/2'
'x+1/2,y,-z+1/2'
'x+1/2,-y+1/2,-z'
'-x+1/2,y+1/2,z'
'-x,y+1/2,-z+1/2'
'x,-y+1/2,z+1/2'
loop_
_atom_site_label
_atom_site_type_symbol
_atom_site_fract_x
_atom_site_fract_y
_atom_site_fract_z
_atom_site_occupancy
Mn1 Mn 0.241 0.239 0.072 1
P1 P 0.047 0.157 0.330 1
O1 O 0.084 0.021 0.302 1
O2 O 0.092 0.181 0.475 1
O3 O 0.115 0.665 0.178 1
O4 O 0.118 0.237 0.230 1
O5 O 0.138 0.731 0.446 1
O6 O 0.148 0.057 0.056 1
O7 O 0.170 0.510 0.652 1
```

crystal system = orthorhombic
M_tot = 2.000 μB per formula unit
energy of formation = -1.114 eV/atom
theoretical density = 2.4 g/cm³

---

# 2
DFT (PBE with a Hubbard U) results for Sr2MgVO4 after structural relaxation.

Structure (CIF):
```
data_Sr2MgVO4
_chemical_formula_sum 'Sr4 Mg2 V2 O8'
_cell_length_a 3.974
_cell_length_b 3.974
_cell_length_c 17.995
_cell_angle_alpha 90.00
_cell_angle_beta 90.00
_cell_angle_gamma 90.00
_symmetry_space_group_name_H-M 'I 4/m m m'
_symmetry_Int_Tables_number 139
_symmetry_space_group_name_Hall '-I 4 2'
loop_
_atom_site_label
_atom_site_type_symbol
_atom_site_fract_x
_atom_site_fract_y
_atom_site_fract_z
_atom_site_occupancy
Sr1 Sr 0.000 0.000 0.184 1
Mg1 Mg 0.000 0.000 0.000 1
V1 V 0.000 0.000 0.500 1
O1 O 0.000 0.000 0.313 1
O2 O 0.000 0.500 0.000 1
```

crystal system = tetragonal
ΔE to the lowest computed polymorph = 318.3 meV per atom
M_tot = 2.909 μB per formula unit
energy of formation = -2.333 eV/atom
theoretical density = 3.7 g/cm³

---

# 3
DFT (PBE with a Hubbard U) results for K2FeP2H3O8F2 after structural relaxation.

Structure (CIF):
```
data_K2FeP2H3O8F2
_chemical_formula_sum 'K4 Fe2 P4 H6 O16 F4'
_cell_length_a 7.199
_cell_length_b 8.502
_cell_length_c 8.619
_cell_angle_alpha 79.99
_cell_angle_beta 87.45
_cell_angle_gamma 87.07
_symmetry_space_group_name_H-M 'P 1'
_symmetry_Int_Tables_number 1
loop_
_symmetry_equiv_pos_as_xyz
'x,y,z'
loop_
_atom_site_label
_atom_site_type_symbol
_atom_site_fract_x
_atom_site_fract_y
_atom_site_fract_z
_atom_site_occupancy
K1 K 0.000 0.000 0.000 1
K2 K 0.233 0.065 0.627 1
K3 K 0.476 0.394 0.673 1
K4 K 0.724 0.368 0.162 1
Fe1 Fe 0.268 0.467 0.182 1
Fe2 Fe 0.578 0.878 0.366 1
P1 P 0.124 0.827 0.344 1
P2 P 0.290 0.664 0.850 1
P3 P 0.712 0.718 0.788 1
P4 P 0.863 0.558 0.507 1
H1 H 0.060 0.260 0.297 1
H2 H 0.329 0.256 0.994 1
H3 H 0.409 0.368 0.068 1
H4 H 0.539 0.063 0.065 1
H5 H 0.724 0.885 0.754 1
H6 H 0.860 0.289 0.616 1
O1 O 0.043 0.646 0.433 1
O2 O 0.071 0.326 0.193 1
O3 O 0.100 0.797 0.790 1
O4 O 0.272 0.667 0.037 1
O5 O 0.313 0.818 0.419 1
O6 O 0.331 0.164 0.932 1
O7 O 0.422 0.146 0.319 1
O8 O 0.450 0.790 0.775 1
O9 O 0.528 0.108 0.950 1
O10 O 0.534 0.093 0.444 1
O11 O 0.663 0.572 0.907 1
O12 O 0.729 0.675 0.605 1
O13 O 0.783 0.411 0.464 1
O14 O 0.926 0.295 0.716 1
O15 O 0.936 0.692 0.860 1
O16 O 0.994 0.460 0.659 1
F1 F 0.369 0.465 0.377 1
F2 F 0.724 0.989 0.183 1
F3 F 0.734 0.677 0.334 1
F4 F 0.993 0.936 0.458 1
```

crystal system = triclinic
ΔE to the lowest computed polymorph = 741.8 meV per atom
M_tot = 4.000 μB per formula unit
energy of formation = -1.600 eV/atom
theoretical density = 2.3 g/cm³

---

# 4
DFT (PBE with a Hubbard U) results for Li4V3O4F8 after structural relaxation.

Structure (CIF):
```
data_Li4V3O4F8
_chemical_formula_sum 'Li4 V3 O4 F8'
_cell_length_a 5.681
_cell_length_b 5.765
_cell_length_c 6.548
_cell_angle_alpha 98.04
_cell_angle_beta 100.15
_cell_angle_gamma 95.51
_symmetry_space_group_name_H-M 'P 1'
_symmetry_Int_Tables_number 1
loop_
_symmetry_equiv_pos_as_xyz
'x,y,z'
loop_
_atom_site_label
_atom_site_type_symbol
_atom_site_fract_x
_atom_site_fract_y
_atom_site_fract_z
_atom_site_occupancy
Li1 Li 0.000 0.000 0.000 1
Li2 Li 0.191 0.281 0.625 1
Li3 Li 0.468 0.968 0.772 1
Li4 Li 0.713 0.461 0.829 1
V1 V 0.316 0.616 0.152 1
V2 V 0.625 0.192 0.292 1
V3 V 0.911 0.735 0.492 1
O1 O 0.177 0.682 0.407 1
O2 O 0.425 0.902 0.150 1
O3 O 0.645 0.532 0.298 1
O4 O 0.854 0.025 0.369 1
F1 F 0.131 0.984 0.739 1
F2 F 0.244 0.279 0.172 1
F3 F 0.387 0.495 0.877 1
F4 F 0.491 0.198 0.551 1
F5 F 0.698 0.790 0.693 1
F6 F 0.716 0.183 0.002 1
F7 F 0.924 0.442 0.620 1
F8 F 0.993 0.650 0.014 1
```

crystal system = triclinic
M_tot = 3.000 μB per formula unit
energy of formation = -2.902 eV/atom
theoretical density = 3.2 g/cm³

---

# 5
DFT (PBE with a Hubbard U) results for TaMnNbO6 after structural relaxation.

Structure (CIF):
```
data_TaMnNbO6
_chemical_formula_sum 'Ta4 Mn4 Nb4 O24'
_cell_length_a 5.140
_cell_length_b 14.613
_cell_length_c 5.867
_cell_angle_alpha 90.00
_cell_angle_beta 90.00
_cell_angle_gamma 90.00
_symmetry_space_group_name_H-M 'P 21 21 2'
_symmetry_Int_Tables_number 18
loop_
_symmetry_equiv_pos_as_xyz
'x,y,z'
'-x,-y,z'
'x+1/2,-y+1/2,-z'
'-x+1/2,y+1/2,-z'
loop_
_atom_site_label
_atom_site_type_symbol
_atom_site_fract_x
_atom_site_fract_y
_atom_site_fract_z
_atom_site_occupancy
Ta1 Ta 0.014 0.163 0.427 1
Mn1 Mn 0.000 0.000 0.922 1
Mn2 Mn 0.000 0.500 0.428 1
Nb1 Nb 0.013 0.338 0.930 1
O1 O 0.153 0.082 0.633 1
O2 O 0.154 0.419 0.133 1
O3 O 0.156 0.756 0.123 1
O4 O 0.162 0.745 0.618 1
O5 O 0.190 0.099 0.152 1
O6 O 0.193 0.401 0.650 1
```

crystal system = orthorhombic
M_tot = 5.000 μB per formula unit
energy of formation = -2.986 eV/atom
theoretical density = 6.4 g/cm³

---

# 6
DFT (PBE with a Hubbard U) results for Co3B7BrO13 after structural relaxation.

Structure (CIF):
```
data_Co3B7BrO13
_chemical_formula_sum 'Co12 B28 Br4 O52'
_cell_length_a 8.651
_cell_length_b 8.647
_cell_length_c 12.244
_cell_angle_alpha 90.00
_cell_angle_beta 90.00
_cell_angle_gamma 90.00
_symmetry_space_group_name_H-M 'P c a 21'
_symmetry_Int_Tables_number 29
loop_
_symmetry_equiv_pos_as_xyz
'x,y,z'
'-x,-y,z+1/2'
'-x+1/2,y,z+1/2'
'x+1/2,-y,z'
loop_
_atom_site_label
_atom_site_type_symbol
_atom_site_fract_x
_atom_site_fract_y
_atom_site_fract_z
_atom_site_occupancy
Co1 Co 0.014 0.030 0.000 1
Co2 Co 0.016 0.469 0.002 1
Co3 Co 0.240 0.253 0.277 1
B1 B 0.002 0.003 0.752 1
B2 B 0.002 0.496 0.753 1
B3 B 0.043 0.751 0.151 1
B4 B 0.094 0.750 0.680 1
B5 B 0.243 0.753 0.005 1
B6 B 0.246 0.597 0.833 1
B7 B 0.246 0.904 0.833 1
Br1 Br 0.229 0.248 0.992 1
O1 O 0.033 0.161 0.231 1
O2 O 0.036 0.910 0.149 1
O3 O 0.043 0.331 0.727 1
O4 O 0.049 0.591 0.659 1
O5 O 0.089 0.539 0.851 1
O6 O 0.090 0.942 0.347 1
O7 O 0.117 0.672 0.067 1
O8 O 0.142 0.824 0.578 1
O9 O 0.164 0.483 0.273 1
O10 O 0.167 0.026 0.774 1
O11 O 0.173 0.875 0.938 1
O12 O 0.179 0.636 0.436 1
O13 O 0.230 0.750 0.764 1
```

crystal system = orthorhombic
M_tot = 9.000 μB per formula unit
energy of formation = -2.370 eV/atom
theoretical density = 3.9 g/cm³

---

Q: Look up the energy of formation of the sixth one.
A: -2.370 eV/atom